# 1
# r2SCAN Th7Ni3, optimized geometry
# DFT total energy = -55.288 eV per atom
# energy of formation from the pure elements = -0.261 eV/atom
# total magnetization = 0.0 μB per formula unit
# calculated volume = 25.9 Å³/atom
# crystal system = hexagonal
data_Th7Ni3
_chemical_formula_sum 'Th14 Ni6'
_cell_length_a 9.813
_cell_length_b 9.813
_cell_length_c 6.214
_cell_angle_alpha 90.00
_cell_angle_beta 90.00
_cell_angle_gamma 120.00
_space_group_name_H-M_alt 'P 1'
_space_group_IT_number 1
loop_
_space_group_symop_operation_xyz
'x,y,z'
loop_
_atom_site_label
_atom_site_type_symbol
_atom_site_fract_x
_atom_site_fract_y
_atom_site_fract_z
Th1 Th 0.127 0.254 0.241
Th2 Th 0.667 0.333 0.571
Th3 Th 0.746 0.873 0.241
Th4 Th 0.545 0.455 0.040
Th5 Th 0.089 0.545 0.540
Th6 Th 0.873 0.127 0.741
Th7 Th 0.455 0.911 0.540
Th8 Th 0.545 0.089 0.040
Th9 Th 0.254 0.127 0.741
Th10 Th 0.911 0.455 0.040
Th11 Th 0.127 0.873 0.241
Th12 Th 0.873 0.746 0.741
Th13 Th 0.333 0.667 0.071
Th14 Th 0.455 0.545 0.540
Ni1 Ni 0.629 0.814 0.805
Ni2 Ni 0.371 0.186 0.305
Ni3 Ni 0.186 0.371 0.805
Ni4 Ni 0.186 0.814 0.805
Ni5 Ni 0.814 0.186 0.305
Ni6 Ni 0.814 0.629 0.305

=====

# 2
# r2SCAN BaH4O3, optimized geometry
# DFT total energy = -8.883 eV per atom
# energy of formation from the pure elements = -1.603 eV/atom
# total magnetization = 0.0 μB per formula unit
# polymorph energy (0 for the lowest one) = 0.000 eV/atom
# calculated volume = 10.6 Å³/atom
# crystal system = orthorhombic
data_BaH4O3
_chemical_formula_sum 'Ba2 H8 O6'
_cell_length_a 3.931
_cell_length_b 6.281
_cell_length_c 6.894
_cell_angle_alpha 90.00
_cell_angle_beta 90.00
_cell_angle_gamma 90.00
_space_group_name_H-M_alt 'P 1'
_space_group_IT_number 1
loop_
_space_group_symop_operation_xyz
'x,y,z'
loop_
_atom_site_label
_atom_site_type_symbol
_atom_site_fract_x
_atom_site_fract_y
_atom_site_fract_z
Ba1 Ba 0.000 0.352 0.253
Ba2 Ba 0.000 0.648 0.753
O1 O 0.500 0.972 0.724
O2 O 0.500 0.566 0.037
O3 O 0.000 0.204 0.865
O4 O 0.000 0.796 0.365
O5 O 0.500 0.028 0.224
O6 O 0.500 0.434 0.537
H1 H 0.201 0.125 0.810
H2 H 0.500 0.986 0.584
H3 H 0.201 0.875 0.310
H4 H 0.799 0.875 0.310
H5 H 0.799 0.125 0.810
H6 H 0.500 0.697 0.111
H7 H 0.500 0.303 0.611
H8 H 0.500 0.014 0.084

=====

# 3
# r2SCAN GdDyAl4, optimized geometry
# DFT total energy = -17.628 eV per atom
# energy of formation from the pure elements = -0.577 eV/atom
# total magnetization = 7.9 μB per formula unit
# calculated volume = 20.2 Å³/atom
# crystal system = cubic
data_GdDyAl4
_chemical_formula_sum 'Gd1 Dy1 Al4'
_cell_length_a 5.553
_cell_length_b 5.553
_cell_length_c 5.553
_cell_angle_alpha 60.00
_cell_angle_beta 60.00
_cell_angle_gamma 60.00
_space_group_name_H-M_alt 'P 1'
_space_group_IT_number 1
loop_
_space_group_symop_operation_xyz
'x,y,z'
loop_
_atom_site_label
_atom_site_type_symbol
_atom_site_fract_x
_atom_site_fract_y
_atom_site_fract_z
Al1 Al 0.625 0.625 0.625
Al2 Al 0.625 0.125 0.625
Al3 Al 0.125 0.625 0.625
Al4 Al 0.625 0.625 0.125
Gd1 Gd 0.000 0.000 0.000
Dy1 Dy 0.250 0.250 0.250

=====

# 4
# r2SCAN YbYPd2, optimized geometry
# DFT total energy = -26.632 eV per atom
# energy of formation from the pure elements = -0.941 eV/atom
# total magnetization = 0.0 μB per formula unit
# calculated volume = 20.8 Å³/atom
# crystal system = cubic
data_YbYPd2
_chemical_formula_sum 'Yb1 Y1 Pd2'
_cell_length_a 4.897
_cell_length_b 4.897
_cell_length_c 4.897
_cell_angle_alpha 60.00
_cell_angle_beta 60.00
_cell_angle_gamma 60.00
_space_group_name_H-M_alt 'P 1'
_space_group_IT_number 1
loop_
_space_group_symop_operation_xyz
'x,y,z'
loop_
_atom_site_label
_atom_site_type_symbol
_atom_site_fract_x
_atom_site_fract_y
_atom_site_fract_z
Pd1 Pd 0.750 0.750 0.750
Pd2 Pd 0.250 0.250 0.250
Y1 Y 0.500 0.500 0.500
Yb1 Yb 0.000 0.000 0.000

=====

# 5
# r2SCAN NaI3O8, optimized geometry
# DFT total energy = -11.015 eV per atom
# energy of formation from the pure elements = -0.596 eV/atom
# total magnetization = 0.0 μB per formula unit
# calculated volume = 15.6 Å³/atom
# crystal system = tetragonal
data_NaI3O8
_chemical_formula_sum 'Na2 I6 O16'
_cell_length_a 8.102
_cell_length_b 8.102
_cell_length_c 5.710
_cell_angle_alpha 90.00
_cell_angle_beta 90.00
_cell_angle_gamma 90.00
_space_group_name_H-M_alt 'P 1'
_space_group_IT_number 1
loop_
_space_group_symop_operation_xyz
'x,y,z'
loop_
_atom_site_label
_atom_site_type_symbol
_atom_site_fract_x
_atom_site_fract_y
_atom_site_fract_z
O1 O 0.410 0.766 0.640
O2 O 0.590 0.234 0.640
O3 O 0.928 0.232 0.714
O4 O 0.766 0.590 0.360
O5 O 0.053 0.668 0.198
O6 O 0.234 0.410 0.360
O7 O 0.072 0.768 0.714
O8 O 0.513 0.726 0.157
O9 O 0.332 0.053 0.802
O10 O 0.726 0.487 0.843
O11 O 0.768 0.928 0.286
O12 O 0.274 0.513 0.843
O13 O 0.487 0.274 0.157
O14 O 0.668 0.947 0.802
O15 O 0.232 0.072 0.286
O16 O 0.947 0.332 0.198
I1 I 0.252 0.731 0.890
I2 I 0.000 0.500 0.397
I3 I 0.500 0.000 0.603
I4 I 0.269 0.252 0.110
I5 I 0.731 0.748 0.110
I6 I 0.748 0.269 0.890
Na1 Na 0.000 0.000 0.500
Na2 Na 0.500 0.500 0.500

=====

# 6
# r2SCAN ScAu3, optimized geometry
# DFT total energy = -41.419 eV per atom
# energy of formation from the pure elements = -0.631 eV/atom
# total magnetization = 0.0 μB per formula unit
# calculated volume = 18.1 Å³/atom
# crystal system = hexagonal
data_ScAu3
_chemical_formula_sum 'Sc2 Au6'
_cell_length_a 5.919
_cell_length_b 5.919
_cell_length_c 4.776
_cell_angle_alpha 90.00
_cell_angle_beta 90.00
_cell_angle_gamma 120.00
_space_group_name_H-M_alt 'P 1'
_space_group_IT_number 1
loop_
_space_group_symop_operation_xyz
'x,y,z'
loop_
_atom_site_label
_atom_site_type_symbol
_atom_site_fract_x
_atom_site_fract_y
_atom_site_fract_z
Sc1 Sc 0.667 0.333 0.250
Sc2 Sc 0.333 0.667 0.750
Au1 Au 0.167 0.334 0.250
Au2 Au 0.833 0.167 0.750
Au3 Au 0.666 0.833 0.250
Au4 Au 0.167 0.833 0.250
Au5 Au 0.334 0.167 0.750
Au6 Au 0.833 0.666 0.750

=====

# 7
# r2SCAN Y2GeI2, optimized geometry
# DFT total energy = -22.169 eV per atom
# energy of formation from the pure elements = -1.445 eV/atom
# total magnetization = 0.0 μB per formula unit
# calculated volume = 33.5 Å³/atom
# crystal system = trigonal
data_Y2GeI2
_chemical_formula_sum 'Y2 Ge1 I2'
_cell_length_a 11.023
_cell_length_b 11.023
_cell_length_c 11.023
_cell_angle_alpha 22.20
_cell_angle_beta 22.20
_cell_angle_gamma 22.20
_space_group_name_H-M_alt 'P 1'
_space_group_IT_number 1
loop_
_space_group_symop_operation_xyz
'x,y,z'
loop_
_atom_site_label
_atom_site_type_symbol
_atom_site_fract_x
_atom_site_fract_y
_atom_site_fract_z
Y1 Y 0.381 0.381 0.381
Y2 Y 0.619 0.619 0.619
I1 I 0.777 0.777 0.777
I2 I 0.223 0.223 0.223
Ge1 Ge 0.000 0.000 0.000

=====

# 8
# r2SCAN Cr2F5, optimized geometry
# DFT total energy = -9.423 eV per atom
# energy of formation from the pure elements = -2.884 eV/atom
# total magnetization = 7.0 μB per formula unit
# calculated volume = 12.6 Å³/atom
# crystal system = monoclinic
data_Cr2F5
_chemical_formula_sum 'Cr4 F10'
_cell_length_a 5.367
_cell_length_b 5.367
_cell_length_c 7.114
_cell_angle_alpha 68.55
_cell_angle_beta 68.55
_cell_angle_gamma 87.61
_space_group_name_H-M_alt 'P 1'
_space_group_IT_number 1
loop_
_space_group_symop_operation_xyz
'x,y,z'
loop_
_atom_site_label
_atom_site_type_symbol
_atom_site_fract_x
_atom_site_fract_y
_atom_site_fract_z
F1 F 0.648 0.591 0.679
F2 F 0.909 0.852 0.821
F3 F 0.091 0.148 0.179
F4 F 0.679 0.172 0.042
F5 F 0.352 0.409 0.321
F6 F 0.820 0.680 0.250
F7 F 0.180 0.320 0.750
F8 F 0.328 0.821 0.458
F9 F 0.321 0.828 0.958
F10 F 0.672 0.179 0.542
Cr1 Cr 0.500 0.500 0.500
Cr2 Cr 0.000 0.000 0.500
Cr3 Cr 0.000 0.000 0.000
Cr4 Cr 0.500 0.500 0.000